(1)
Below is crystalline NdH4S2NO8 at its relaxed geometry, with properties calculated at the PBE-GGA level.

Geometry as CIF:
```
data_NdH4S2NO8
_chemical_formula_sum 'Nd4 H16 S8 N4 O32'
_symmetry_space_group_name_H-M 'P 1 21/c 1'
_symmetry_Int_Tables_number 14
_cell_length_a 8.937
_cell_length_b 7.254
_cell_length_c 10.900
_cell_angle_alpha 90.00
_cell_angle_beta 91.62
_cell_angle_gamma 90.00
loop_
_symmetry_equiv_pos_as_xyz
'x,y,z'
'-x,-y,-z'
'-x,y+1/2,-z+1/2'
'x,-y+1/2,z+1/2'
loop_
_atom_site_label
_atom_site_type_symbol
_atom_site_fract_x
_atom_site_fract_y
_atom_site_fract_z
Nd1 Nd 0.055 0.171 0.350
H1 H 0.328 0.594 0.648
H2 H 0.450 0.748 0.593
H3 H 0.452 0.698 0.743
H4 H 0.488 0.042 0.857
S1 S 0.176 0.669 0.387
S2 S 0.266 0.162 0.587
N1 N 0.435 0.646 0.656
O1 O 0.099 0.513 0.318
O2 O 0.117 0.676 0.513
O3 O 0.125 0.051 0.559
O4 O 0.129 0.663 0.812
O5 O 0.234 0.197 0.183
O6 O 0.290 0.243 0.967
O7 O 0.339 0.652 0.390
O8 O 0.391 0.045 0.625
```

## Properties
- E (eV/cell) = -396.813

(2)
Below is crystalline XeF6 at its relaxed geometry, with properties calculated at the PBE-GGA level.

Geometry as CIF:
```
data_XeF6
_chemical_formula_sum 'Xe32 F192'
_symmetry_space_group_name_H-M 'C 1 2/c 1'
_symmetry_Int_Tables_number 15
_cell_length_a 23.692
_cell_length_b 13.460
_cell_length_c 14.583
_cell_angle_alpha 90.00
_cell_angle_beta 126.11
_cell_angle_gamma 90.00
loop_
_symmetry_equiv_pos_as_xyz
'x,y,z'
'-x,-y,-z'
'-x,y,-z+1/2'
'x,-y,z+1/2'
'x+1/2,y+1/2,z'
'-x+1/2,-y+1/2,-z'
'-x+1/2,y+1/2,-z+1/2'
'x+1/2,-y+1/2,z+1/2'
loop_
_atom_site_label
_atom_site_type_symbol
_atom_site_fract_x
_atom_site_fract_y
_atom_site_fract_z
Xe1 Xe 0.041 0.190 0.487
Xe2 Xe 0.118 0.414 0.210
Xe3 Xe 0.127 0.244 0.968
Xe4 Xe 0.181 0.122 0.288
F1 F 0.014 0.434 0.105
F2 F 0.016 0.074 0.384
F3 F 0.034 0.279 0.979
F4 F 0.043 0.100 0.597
F5 F 0.062 0.135 0.872
F6 F 0.065 0.341 0.845
F7 F 0.066 0.254 0.192
F8 F 0.072 0.263 0.405
F9 F 0.100 0.286 0.613
F10 F 0.104 0.105 0.107
F11 F 0.111 0.416 0.341
F12 F 0.113 0.441 0.729
F13 F 0.114 0.073 0.317
F14 F 0.120 0.466 0.083
F15 F 0.134 0.129 0.558
F16 F 0.154 0.222 0.864
F17 F 0.171 0.285 0.169
F18 F 0.190 0.021 0.760
F19 F 0.200 0.350 0.025
F20 F 0.202 0.142 0.056
F21 F 0.202 0.250 0.380
F22 F 0.219 0.443 0.321
F23 F 0.232 0.362 0.704
F24 F 0.249 0.074 0.446
```

## Properties
- E (eV/cell) = -455.085
- polymorph energy (0 for the lowest one) (meV per atom) = 12

(3)
Below is crystalline RbAlCuF6 at its relaxed geometry, with properties calculated at the PBE-GGA level.

Geometry as CIF:
```
data_RbAlCuF6
_chemical_formula_sum 'Rb4 Al4 Cu4 F24'
_symmetry_space_group_name_H-M 'P n m a'
_symmetry_Int_Tables_number 62
_cell_length_a 6.862
_cell_length_b 7.194
_cell_length_c 10.219
_cell_angle_alpha 90.00
_cell_angle_beta 90.00
_cell_angle_gamma 90.00
loop_
_symmetry_equiv_pos_as_xyz
'x,y,z'
'-x,-y,-z'
'-x+1/2,-y,z+1/2'
'x+1/2,y,-z+1/2'
'x+1/2,-y+1/2,-z+1/2'
'-x+1/2,y+1/2,z+1/2'
'-x,y+1/2,-z'
'x,-y+1/2,z'
loop_
_atom_site_label
_atom_site_type_symbol
_atom_site_fract_x
_atom_site_fract_y
_atom_site_fract_z
Rb1 Rb 0.013 0.250 0.129
Al1 Al 0.000 0.000 0.500
Cu1 Cu 0.211 0.250 0.756
F1 F 0.044 0.750 0.169
F2 F 0.048 0.250 0.475
F3 F 0.145 0.004 0.649
F4 F 0.218 0.550 0.407
```

## Properties
- E (eV/cell) = -179.567

Number 1: calculated formation energy -30.17 eV per formula unit. Number 2: calculated formation energy -5.47 eV per formula unit. Number 3: calculated formation energy -27.35 eV per formula unit.